# Li2Mn3F8

Crystalline Li2Mn3F8 at its relaxed geometry (PBE with a Hubbard U, the Materials Project).

Cell: 6.274 6.274 6.274 Å, 60.55 60.55 60.55°
Sites, in units of the cell vectors:
Li  0.129  0.129  0.129
Li  0.871  0.871  0.871
Mn  0.000  0.500  0.500
Mn  0.500  0.000  0.500
Mn  0.500  0.500  0.000
F  0.095  0.095  0.579
F  0.095  0.579  0.095
F  0.404  0.404  0.404
F  0.421  0.905  0.905
F  0.579  0.095  0.095
F  0.596  0.596  0.596
F  0.905  0.421  0.905
F  0.905  0.905  0.421

For the volume, the calculation gives 176.8 Å³/cell. The value obtained for the density is 3.11 Mg/m³. The crystal system is trigonal. The symmetry is R-3m (166). As for the distance to the lowest polymorph of the same formula: 0.0670 eV/atom.

=====

# Li3VO3F

Crystalline Li3VO3F at its relaxed geometry (PBE with a Hubbard U, the Materials Project).

Cell: 5.861 5.861 9.446 Å, 108.94 108.94 87.23°
Sites, in units of the cell vectors:
Li  0.064  0.812  0.875
Li  0.174  0.438  0.622
Li  0.188  0.936  0.625
Li  0.306  0.553  0.362
Li  0.438  0.174  0.122
Li  0.447  0.694  0.138
Li  0.553  0.306  0.862
Li  0.562  0.826  0.878
Li  0.694  0.447  0.638
Li  0.812  0.064  0.375
Li  0.826  0.562  0.378
Li  0.936  0.188  0.125
V  0.060  0.294  0.878
V  0.294  0.060  0.378
V  0.706  0.940  0.622
V  0.940  0.706  0.122
O  0.070  0.814  0.360
O  0.089  0.300  0.382
O  0.159  0.442  0.114
O  0.186  0.930  0.140
O  0.300  0.089  0.882
O  0.442  0.159  0.614
O  0.558  0.841  0.386
O  0.700  0.911  0.118
O  0.814  0.070  0.860
O  0.841  0.558  0.886
O  0.911  0.700  0.618
O  0.930  0.186  0.640
F  0.306  0.555  0.867
F  0.445  0.694  0.633
F  0.555  0.306  0.367
F  0.694  0.445  0.133

For the volume, the calculation gives 289.7 Å³/cell. The value obtained for the density is 3.18 Mg/m³. The crystal system is monoclinic. The symmetry is C2/c (15). As for the distance to the lowest polymorph of the same formula: 0.0010 eV/atom.

=====

# Ca3CoRhO6

Crystalline Ca3CoRhO6 at its relaxed geometry (PBE with a Hubbard U, the Materials Project).

Cell: 6.466 9.052 9.257 Å, 89.92 89.99 88.33°
Sites, in units of the cell vectors:
Ca  0.000  0.000  0.000
Ca  0.001  0.495  0.502
Ca  0.137  0.315  0.183
Ca  0.138  0.814  0.682
Ca  0.273  0.632  0.001
Ca  0.274  0.132  0.502
Ca  0.499  0.998  0.140
Ca  0.502  0.497  0.637
Ca  0.636  0.815  0.459
Ca  0.638  0.315  0.956
Ca  0.773  0.133  0.638
Ca  0.773  0.632  0.140
Co  0.133  0.813  0.316
Co  0.143  0.318  0.818
Co  0.639  0.316  0.315
Co  0.639  0.816  0.825
Rh  0.385  0.064  0.820
Rh  0.387  0.564  0.321
Rh  0.886  0.564  0.821
Rh  0.887  0.065  0.321
O  0.089  0.081  0.753
O  0.091  0.590  0.255
O  0.182  0.043  0.253
O  0.184  0.544  0.755
O  0.293  0.193  0.989
O  0.299  0.688  0.491
O  0.340  0.373  0.424
O  0.345  0.871  0.923
O  0.429  0.258  0.717
O  0.430  0.758  0.220
O  0.473  0.441  0.148
O  0.478  0.938  0.651
O  0.590  0.087  0.388
O  0.591  0.586  0.887
O  0.680  0.044  0.887
O  0.684  0.539  0.387
O  0.794  0.192  0.151
O  0.797  0.688  0.651
O  0.843  0.873  0.217
O  0.847  0.369  0.720
O  0.926  0.760  0.922
O  0.935  0.255  0.426
O  0.973  0.443  0.994
O  0.979  0.937  0.488

For the volume, the calculation gives 541.6 Å³/cell. The value obtained for the density is 4.64 Mg/m³. The crystal system is triclinic. The symmetry is P1 (1). As for the distance to the lowest polymorph of the same formula: 0.0009 eV/atom.

=====

# Li5Co2O6

Crystalline Li5Co2O6 at its relaxed geometry (PBE with a Hubbard U, the Materials Project).

Cell: 5.439 5.469 5.566 Å, 61.69 89.94 89.09°
Sites, in units of the cell vectors:
Li  0.000  0.000  0.000
Li  0.017  0.496  0.391
Li  0.447  0.776  0.231
Li  0.737  0.508  0.987
Li  0.786  0.012  0.382
Co  0.233  0.838  0.684
Co  0.546  0.199  0.689
O  0.088  0.626  0.995
O  0.117  0.844  0.381
O  0.190  0.185  0.673
O  0.573  0.828  0.693
O  0.666  0.128  0.016
O  0.666  0.442  0.370

Its piezoelectric modulus e_max is 0.41 C/m2. For the volume, the calculation gives 145.8 Å³/cell. The value obtained for the density is 2.83 Mg/m³. The crystal system is triclinic. The symmetry is P1 (1). As for the distance to the lowest polymorph of the same formula: 0.0000 eV/atom.

=====

# Li9Mn2Co5O16

Crystalline Li9Mn2Co5O16 at its relaxed geometry (PBE with a Hubbard U, the Materials Project).

Cell: 10.639 10.639 10.303 Å, 112.72 112.72 15.62°
Sites, in units of the cell vectors:
Li  0.000  0.000  0.000
Li  0.003  0.003  0.521
Li  0.234  0.234  0.863
Li  0.243  0.243  0.381
Li  0.497  0.497  0.744
Li  0.500  0.500  0.261
Li  0.620  0.620  0.689
Li  0.741  0.741  0.119
Li  0.744  0.744  0.623
Mn  0.621  0.621  0.190
Mn  0.870  0.870  0.065
Co  0.116  0.116  0.916
Co  0.124  0.124  0.464
Co  0.370  0.370  0.812
Co  0.371  0.371  0.318
Co  0.870  0.870  0.563
O  0.059  0.059  0.734
O  0.064  0.064  0.215
O  0.177  0.177  0.164
O  0.182  0.182  0.646
O  0.312  0.312  0.593
O  0.314  0.314  0.086
O  0.427  0.427  0.042
O  0.429  0.429  0.535
O  0.560  0.560  0.464
O  0.567  0.567  0.988
O  0.674  0.674  0.392
O  0.680  0.680  0.914
O  0.815  0.815  0.347
O  0.819  0.819  0.857
O  0.922  0.922  0.267
O  0.925  0.925  0.784

For the volume, the calculation gives 289.1 Å³/cell. The value obtained for the density is 4.15 Mg/m³. The crystal system is monoclinic. The symmetry is Cm (8). As for the distance to the lowest polymorph of the same formula: 0.0508 eV/atom.

=====

# Li2FeF4

Crystalline Li2FeF4 at its relaxed geometry (PBE with a Hubbard U, the Materials Project).

Cell: 5.530 5.858 5.878 Å, 67.81 87.79 88.17°
Sites, in units of the cell vectors:
Li  0.000  0.000  0.000
Li  0.180  0.746  0.794
Li  0.363  0.532  0.549
Li  0.679  0.778  0.768
Fe  0.476  0.147  0.164
Fe  0.885  0.384  0.387
F  0.023  0.576  0.576
F  0.340  0.957  0.970
F  0.435  0.475  0.882
F  0.453  0.861  0.490
F  0.510  0.366  0.378
F  0.852  0.166  0.171
F  0.914  0.059  0.673
F  0.915  0.667  0.057

For the volume, the calculation gives 176.2 Å³/cell. The value obtained for the density is 2.75 Mg/m³. The crystal system is triclinic. The symmetry is P1 (1). As for the distance to the lowest polymorph of the same formula: 0.0822 eV/atom.